(1)
## Dy3NiPd2 (PBE-GGA)

Data for Dy3NiPd2 after structural relaxation.

Calculated values
- Formation energy from the elements: -0.754 eV/atom
- ρ: 9.70 g/cm³
- Symmetry: No. 11
- Crystal system: monoclinic

```
Dy3NiPd2
1.0
4.493 0.000 0.000
0.000 5.527 0.000
0.000 1.281 10.467
Dy Ni Pd
6 2 4
Cartesian
1.123 3.237 8.203 Dy
3.369 3.570 2.263 Dy
1.123 0.773 1.295 Dy
3.369 6.034 9.172 Dy
1.123 2.015 4.776 Dy
3.369 4.793 5.691 Dy
1.123 4.743 3.764 Ni
3.369 2.065 6.703 Ni
1.123 3.608 0.294 Pd
3.369 3.200 10.173 Pd
1.123 5.994 7.264 Pd
3.369 0.814 3.203 Pd
```

---

(2)
## Cs3Ta5O14 (PBE-GGA)

Data for Cs3Ta5O14 after structural relaxation.

Calculated values
- Formation energy from the elements: -3.178 eV/atom
- ρ: 6.75 g/cm³
- M_tot: 0.001 μB per atom
- Symmetry: No. 55
- Crystal system: orthorhombic

```
Cs3Ta5O14
1.0
7.492 0.000 0.000
0.000 7.534 0.000
0.000 0.000 26.613
Cs Ta O
12 20 56
Cartesian
0.000 2.558 21.054 Cs
0.000 4.976 5.559 Cs
3.746 6.328 16.513 Cs
0.000 1.209 7.748 Cs
3.746 1.943 13.937 Cs
0.000 6.324 18.865 Cs
3.746 1.205 10.099 Cs
3.746 1.824 0.631 Cs
3.746 5.591 12.675 Cs
3.746 2.562 23.406 Cs
3.746 5.710 25.982 Cs
3.746 4.972 3.207 Cs
5.585 6.313 22.572 Ta
0.000 3.229 1.449 Ta
3.746 4.511 19.854 Ta
1.907 1.221 4.040 Ta
0.000 0.538 14.755 Ta
0.000 3.115 11.795 Ta
5.585 1.221 4.040 Ta
3.746 6.789 6.547 Ta
3.746 3.022 6.759 Ta
0.000 4.305 25.164 Ta
0.000 6.882 1.511 Ta
1.907 4.987 9.266 Ta
0.000 0.652 25.101 Ta
5.585 4.987 9.266 Ta
0.000 4.419 14.818 Ta
3.746 0.744 20.065 Ta
0.000 6.996 11.858 Ta
1.907 6.313 22.572 Ta
5.585 2.546 17.347 Ta
1.907 2.546 17.347 Ta
1.417 2.563 2.601 O
0.000 1.207 0.420 O
3.746 6.437 19.370 O
3.746 4.956 9.958 O
0.000 2.494 24.472 O
0.000 6.530 22.141 O
3.746 4.863 6.064 O
6.075 4.970 24.012 O
0.000 2.560 13.727 O
2.358 3.451 8.082 O
3.746 1.096 7.242 O
5.184 2.536 5.353 O
6.184 0.000 13.306 O
5.184 6.303 7.954 O
0.000 2.763 17.778 O
1.569 7.345 2.383 O
6.184 3.767 0.000 O
5.134 3.451 8.082 O
2.309 6.303 7.954 O
2.309 1.231 18.659 O
6.075 2.563 2.601 O
5.184 4.998 21.260 O
2.309 2.536 5.353 O
0.000 6.327 26.192 O
1.569 0.188 24.230 O
2.358 7.218 5.225 O
3.746 2.670 20.549 O
0.000 1.003 4.471 O
1.417 4.970 24.012 O
6.075 1.203 15.907 O
0.000 6.260 15.447 O
2.309 4.998 21.260 O
3.746 6.344 23.264 O
5.134 0.316 21.388 O
2.358 4.083 18.531 O
5.924 3.578 10.923 O
5.924 3.955 15.689 O
0.000 5.040 2.141 O
0.000 4.973 12.886 O
5.184 1.231 18.659 O
5.134 7.218 5.225 O
0.000 4.770 8.835 O
3.746 1.190 3.349 O
5.134 4.083 18.531 O
1.308 0.000 13.306 O
5.924 7.345 2.383 O
6.075 6.330 10.706 O
3.746 2.577 16.655 O
5.924 0.188 24.230 O
1.417 6.330 10.706 O
1.569 3.955 15.689 O
1.417 1.203 15.907 O
0.000 1.273 11.166 O
1.569 3.578 10.923 O
2.358 0.316 21.388 O
1.308 3.767 0.000 O
```

---

(3)
## ScGa (PBE-GGA)

Data for ScGa after structural relaxation.

Calculated values
- Formation energy from the elements: -0.603 eV/atom
- ρ: 4.71 g/cm³
- Symmetry: No. 63
- Crystal system: orthorhombic

```
ScGa
1.0
2.014 -5.135 0.000
2.014 5.135 0.000
0.000 0.000 3.914
Sc Ga
2 2
Cartesian
2.014 3.708 0.978 Sc
2.014 -3.708 2.935 Sc
2.014 0.838 0.978 Ga
2.014 -0.838 2.935 Ga
```

---

(4)
## KBa2Re (PBE-GGA)

Data for KBa2Re after structural relaxation.

Calculated values
- Formation energy from the elements: 1.271 eV/atom
- ρ: 5.57 g/cm³
- M_tot: 0.522 μB per atom
- Symmetry: No. 216
- Crystal system: cubic

```
KBa2Re
1.0
2.574 -5.175 -1.418
-3.321 -4.895 -0.652
-0.815 -2.345 -5.409
K Ba Re
1 2 1
Cartesian
-0.780 -6.207 -3.740 K
0.000 0.000 0.000 Ba
-0.390 -3.104 -1.870 Ba
-1.171 -9.311 -5.609 Re
```

---

(5)
## Na5Sn10Hg2 (PBE-GGA)

Data for Na5Sn10Hg2 after structural relaxation.

Calculated values
- Formation energy from the elements: -0.135 eV/atom
- ρ: 5.63 g/cm³
- M_tot: 0.000 μB per atom
- Symmetry: No. 60
- Crystal system: orthorhombic

```
Na5Sn10Hg2
1.0
0.000 -11.041 0.000
-13.461 0.000 0.000
0.000 0.000 -13.520
Na Sn Hg
20 40 8
Cartesian
0.000 -8.147 -10.140 Na
0.000 -2.894 -3.380 Na
-6.731 -8.415 -3.380 Na
-6.731 -2.627 -10.140 Na
-11.716 -10.573 -12.225 Na
-1.746 -0.469 -1.295 Na
-8.477 -5.989 -5.465 Na
-1.746 -10.573 -8.055 Na
-4.985 -5.052 -8.055 Na
-11.716 -0.469 -5.465 Na
-4.985 -5.989 -1.295 Na
-8.477 -5.052 -12.225 Na
-11.278 -6.117 -8.209 Na
-2.183 -4.924 -5.310 Na
-8.914 -10.445 -1.450 Na
-2.183 -6.117 -12.070 Na
-4.547 -0.596 -12.070 Na
-11.278 -4.924 -1.450 Na
-4.547 -10.445 -5.310 Na
-8.914 -0.596 -8.209 Na
-7.799 -10.351 -11.287 Sn
-5.662 -0.690 -2.233 Sn
-12.393 -6.211 -4.527 Sn
-5.662 -10.351 -8.992 Sn
-1.069 -4.830 -8.992 Sn
-7.799 -0.690 -4.527 Sn
-1.069 -6.211 -2.233 Sn
-12.393 -4.830 -11.287 Sn
-10.985 -7.106 -12.572 Sn
-2.476 -3.935 -0.948 Sn
-9.207 -9.456 -5.812 Sn
-2.476 -7.106 -7.708 Sn
-4.254 -1.585 -7.708 Sn
-10.985 -3.935 -5.812 Sn
-4.254 -9.456 -0.948 Sn
-9.207 -1.585 -12.572 Sn
-7.851 -6.549 -9.097 Sn
-5.611 -4.492 -4.422 Sn
-12.341 -10.012 -2.337 Sn
-5.611 -6.549 -11.182 Sn
-1.120 -1.029 -11.182 Sn
-7.851 -4.492 -2.337 Sn
-1.120 -10.012 -4.422 Sn
-12.341 -1.029 -9.097 Sn
-9.782 -8.454 -10.205 Sn
-3.679 -2.587 -3.315 Sn
-10.410 -8.107 -3.445 Sn
-3.679 -8.454 -10.074 Sn
-3.052 -2.934 -10.074 Sn
-9.782 -2.587 -3.445 Sn
-3.052 -8.107 -3.315 Sn
-10.410 -2.934 -10.205 Sn
-6.714 -8.385 -13.186 Sn
-6.747 -2.656 -0.334 Sn
-0.016 -8.177 -6.426 Sn
-6.747 -8.385 -7.094 Sn
-13.445 -2.865 -7.094 Sn
-6.714 -2.656 -6.426 Sn
-13.445 -8.177 -0.334 Sn
-0.016 -2.865 -13.186 Sn
-11.414 -9.533 -8.028 Hg
-2.048 -1.508 -5.492 Hg
-8.778 -7.029 -1.268 Hg
-2.048 -9.533 -12.251 Hg
-4.683 -4.013 -12.251 Hg
-11.414 -1.508 -1.268 Hg
-4.683 -7.029 -5.492 Hg
-8.778 -4.013 -8.028 Hg
```

---

(6)
## SrLa2Cu2O6 (PBE-GGA)

Data for SrLa2Cu2O6 after structural relaxation.

Calculated values
- Formation energy from the elements: -2.651 eV/atom
- ρ: 6.52 g/cm³
- M_tot: 0.002 μB per atom
- Symmetry: No. 139
- Crystal system: tetragonal

```
SrLa2Cu2O6
1.0
8.559 3.546 4.574
5.608 1.250 8.587
-5.842 -4.800 -7.042
Sr La Cu O
1 2 2 6
Cartesian
0.000 0.000 0.000 Sr
11.654 3.946 10.827 La
2.513 0.851 2.335 La
8.342 2.824 7.750 Cu
5.825 1.972 5.412 Cu
7.184 1.346 4.178 O
5.709 0.197 6.185 O
1.141 -1.349 1.941 O
2.616 -0.201 -0.065 O
10.019 3.392 9.308 O
4.147 1.404 3.853 O
```